# 1
This record from Materials Project describes an optimized crystal structure of ErInAg2. The functional is r2SCAN.

Cell: 6.8995 6.8995 6.8995 Å, 90.00 90.00 90.00°
Fractional positions:
Er1 0.0000 0.0000 0.0000
Er2 0.0000 0.5000 0.5000
Er3 0.5000 0.0000 0.5000
Er4 0.5000 0.5000 0.0000
In1 0.0000 0.0000 0.5000
In2 0.0000 0.5000 0.0000
In3 0.5000 0.0000 0.0000
In4 0.5000 0.5000 0.5000
Ag1 0.2500 0.2500 0.2500
Ag2 0.2500 0.2500 0.7500
Ag3 0.2500 0.7500 0.2500
Ag4 0.2500 0.7500 0.7500
Ag5 0.7500 0.2500 0.2500
Ag6 0.7500 0.2500 0.7500
Ag7 0.7500 0.7500 0.2500
Ag8 0.7500 0.7500 0.7500

## Properties
raw total energy = -25.205 eV/atom
M_tot = 0.00 μB per formula unit
space-group type = Fm-3m (225)
DFT formation energy = -0.401 eV/atom
ρ = 10.1 g/cm3

# 2
This record from Materials Project describes an optimized crystal structure of In3S4. The functional is r2SCAN.

Cell: 7.8184 7.8184 7.8184 Å, 60.00 60.00 60.00°
Fractional positions:
In1 0.0000 0.0000 0.0000
In2 0.0000 0.0000 0.5000
In3 0.0000 0.5000 0.0000
In4 0.3750 0.3750 0.3750
In5 0.5000 0.0000 0.0000
In6 0.6250 0.6250 0.6250
S1 0.2243 0.7586 0.7586
S2 0.2414 0.2414 0.2414
S3 0.2414 0.2414 0.7757
S4 0.2414 0.7757 0.2414
S5 0.7586 0.2243 0.7586
S6 0.7586 0.7586 0.2243
S7 0.7586 0.7586 0.7586
S8 0.7757 0.2414 0.2414

## Properties
raw total energy = -14.921 eV/atom
M_tot = 0.00 μB per formula unit
space-group type = Fd-3m (227)
DFT formation energy = -0.653 eV/atom
ρ = 4.6 g/cm3

# 3
This record from Materials Project describes an optimized crystal structure of LiMg3. The functional is r2SCAN.

Cell: 3.1395 10.1137 5.4552 Å, 90.00 90.00 90.00°
Fractional positions:
Li1 0.0000 0.0000 0.0000
Li2 0.5000 0.5000 0.5000
Mg1 0.0000 0.2509 0.3318
Mg2 0.0000 0.5000 0.9962
Mg3 0.0000 0.7491 0.3318
Mg4 0.5000 0.0000 0.4962
Mg5 0.5000 0.2491 0.8318
Mg6 0.5000 0.7509 0.8318

## Properties
raw total energy = -3.743 eV/atom
M_tot = 0.00 μB per formula unit
space-group type = Imm2 (44)
DFT formation energy = -0.019 eV/atom
ρ = 1.5 g/cm3

# 4
This record from Materials Project describes an optimized crystal structure of La4H9. The functional is r2SCAN.

Cell: 6.9265 6.9265 6.9265 Å, 132.16 132.16 69.98°
Fractional positions:
La1 0.0000 0.5000 0.5000
La2 0.2459 0.2459 0.0000
La3 0.5000 0.0000 0.5000
La4 0.7541 0.7541 0.0000
H1 0.0000 0.0000 0.0000
H2 0.1319 0.1319 0.5174
H3 0.1319 0.6145 0.0000
H4 0.3855 0.3855 0.5174
H5 0.3855 0.8681 0.0000
H6 0.6145 0.1319 0.0000
H7 0.6145 0.6145 0.4826
H8 0.8681 0.3855 0.0000
H9 0.8681 0.8681 0.4826

## Properties
raw total energy = -12.282 eV/atom
M_tot = 0.00 μB per formula unit
space-group type = I4/mmm (139)
DFT formation energy = -0.737 eV/atom
ρ = 5.2 g/cm3

# 5
This record from Materials Project describes an optimized crystal structure of AlRh3. The functional is r2SCAN.

Cell: 5.4079 5.4079 4.3300 Å, 90.00 90.00 120.00°
Fractional positions:
Al1 0.3333 0.6667 0.2500
Al2 0.6667 0.3333 0.7500
Rh1 0.1675 0.3351 0.7500
Rh2 0.1675 0.8325 0.7500
Rh3 0.3351 0.1675 0.2500
Rh4 0.6649 0.8325 0.7500
Rh5 0.8325 0.1675 0.2500
Rh6 0.8325 0.6649 0.2500

## Properties
raw total energy = -20.290 eV/atom
M_tot = 0.00 μB per formula unit
space-group type = P6_3/mmc (194)
DFT formation energy = -0.505 eV/atom
ρ = 10.2 g/cm3

# 6
This record from Materials Project describes an optimized crystal structure of HoAlPd. The functional is r2SCAN.

Cell: 6.8681 4.4218 7.6934 Å, 90.00 90.00 90.00°
Fractional positions:
Ho1 0.0317 0.2500 0.1803
Ho2 0.4683 0.7500 0.6803
Ho3 0.5317 0.2500 0.3197
Ho4 0.9683 0.7500 0.8197
Al1 0.1443 0.2500 0.5626
Al2 0.3557 0.7500 0.0626
Al3 0.6443 0.2500 0.9374
Al4 0.8557 0.7500 0.4374
Pd1 0.2272 0.7500 0.3822
Pd2 0.2728 0.2500 0.8822
Pd3 0.7272 0.7500 0.1178
Pd4 0.7728 0.2500 0.6178

## Properties
raw total energy = -21.796 eV/atom
M_tot = 0.00 μB per formula unit
space-group type = Pnma (62)
DFT formation energy = -0.938 eV/atom
ρ = 8.5 g/cm3

# 7
This record from Materials Project describes an optimized crystal structure of Ba2LiSmCoCu2O7. The functional is r2SCAN.

Cell: 3.8304 4.0344 12.6813 Å, 90.00 90.00 90.00°
Fractional positions:
Ba1 0.0000 0.0000 0.0000
Ba2 0.0000 0.0000 0.3134
Li1 0.0000 0.5000 0.4690
Sm1 0.0000 0.0000 0.7131
Co1 0.5000 0.5000 0.1795
Cu1 0.5000 0.5000 0.6016
Cu2 0.5000 0.5000 0.8387
O1 0.0000 0.5000 0.6062
O2 0.0000 0.5000 0.8318
O3 0.5000 0.0000 0.1791
O4 0.5000 0.0000 0.5944
O5 0.5000 0.0000 0.8317
O6 0.5000 0.5000 0.0414
O7 0.5000 0.5000 0.3310

## Properties
raw total energy = -13.489 eV/atom
M_tot = 2.03 μB per formula unit
space-group type = Pmm2 (25)
DFT formation energy = -1.928 eV/atom
ρ = 6.2 g/cm3

# 8
This record from Materials Project describes an optimized crystal structure of Y2MgAl. The functional is r2SCAN.

Cell: 7.3616 7.3616 7.3616 Å, 90.00 90.00 90.00°
Fractional positions:
Y1 0.2500 0.2500 0.2500
Y2 0.2500 0.2500 0.7500
Y3 0.2500 0.7500 0.2500
Y4 0.2500 0.7500 0.7500
Y5 0.7500 0.2500 0.2500
Y6 0.7500 0.2500 0.7500
Y7 0.7500 0.7500 0.2500
Y8 0.7500 0.7500 0.7500
Mg1 0.0000 0.0000 0.0000
Mg2 0.0000 0.5000 0.5000
Mg3 0.5000 0.0000 0.5000
Mg4 0.5000 0.5000 0.0000
Al1 0.0000 0.0000 0.5000
Al2 0.0000 0.5000 0.0000
Al3 0.5000 0.0000 0.0000
Al4 0.5000 0.5000 0.5000

## Properties
raw total energy = -13.196 eV/atom
M_tot = 0.00 μB per formula unit
space-group type = Fm-3m (225)
DFT formation energy = -0.314 eV/atom
ρ = 3.8 g/cm3